Here is a relaxed Rb4FeO4 crystal from the Materials Project. Energies are from GGA+U.

Output
Its formation energy is -1.53 eV/atom.

Lattice parameters (Å, degrees): 6.8686 10.8893 11.2233 69.58 90.00 90.00
Sites, in units of the cell vectors:
Rb (0.0838, 0.7955, 0.5648)
Rb (0.3131, 0.7142, 0.9122)
Rb (0.1869, 0.2142, 0.9122)
Rb (0.8829, 0.4263, 0.6580)
Rb (0.4162, 0.2955, 0.5648)
Rb (0.3829, 0.0737, 0.3420)
Rb (0.6171, 0.9263, 0.6580)
Rb (0.1171, 0.5737, 0.3420)
Rb (0.6869, 0.2858, 0.0878)
Rb (0.8131, 0.7858, 0.0878)
Rb (0.6804, 0.1025, 0.8775)
Rb (0.8196, 0.6025, 0.8775)
Rb (0.9162, 0.2045, 0.4352)
Rb (0.5838, 0.7045, 0.4352)
Rb (0.1804, 0.3975, 0.1225)
Rb (0.3196, 0.8975, 0.1225)
O (0.1626, 0.4889, 0.8462)
O (0.8374, 0.5111, 0.1538)
O (0.9722, 0.1617, 0.7015)
O (0.5384, 0.3735, 0.8238)
O (0.4616, 0.6265, 0.1762)
O (0.5278, 0.6617, 0.7015)
O (0.9616, 0.8735, 0.8238)
O (0.2621, 0.5358, 0.5854)
O (0.7379, 0.4642, 0.4146)
O (0.0384, 0.1265, 0.1762)
O (0.4722, 0.3383, 0.2985)
O (0.6626, 0.0111, 0.1538)
O (0.2379, 0.0358, 0.5854)
O (0.0278, 0.8383, 0.2985)
O (0.3374, 0.9889, 0.8462)
O (0.7621, 0.9642, 0.4146)
Fe (0.3759, 0.5132, 0.7392)
Fe (0.1241, 0.0132, 0.7392)
Fe (0.6241, 0.4868, 0.2608)
Fe (0.8759, 0.9868, 0.2608)